A plane-wave DFT calculation with PBE+U was carried out for a relaxed Li4VCr3O8 crystal. Values from VASP.

Quantum ESPRESSO input file:
```
&SYSTEM
  ibrav = 0, nat = 16, ntyp = 4
/
ATOMIC_SPECIES
Li 6.94 Li.upf
V 50.94 V.upf
Cr 52.00 Cr.upf
O 16.00 O.upf
ATOMIC_POSITIONS crystal
Li 0.243 0.499 0.126
Li 0.247 0.502 0.624
Li 0.753 0.498 0.376
Li 0.757 0.501 0.874
V 0.500 0.000 0.000
Cr 0.000 0.000 0.249
Cr 0.000 0.000 0.751
Cr 0.500 0.000 0.500
O 0.121 0.230 0.942
O 0.129 0.225 0.444
O 0.371 0.773 0.806
O 0.371 0.774 0.308
O 0.629 0.226 0.692
O 0.629 0.227 0.194
O 0.871 0.775 0.556
O 0.879 0.770 0.058
CELL_PARAMETERS angstrom
5.117 0.000 0.000
0.828 5.115 0.000
0.000 1.728 5.686
```

energy relative to the elements = -2424 meV/atom
energy = -110.9 eV/cell
E above lowest polymorph = 0.002 eV/atom